1.
4
Lattice="-2.982 -0.209 3.788 -4.709 -0.803 -0.678 -1.942 -4.218 1.312" Properties=species:S:1:pos:R:3 comment="YbBiPd2 (meta-GGA r2SCAN, relaxed)" spacegroup="No. 225" energy_ev_per_atom=-35.998 volume_a3_per_atom=19.9 pbc="T T T"
Bi -4.816 -2.615 2.211
Yb 0.000 0.000 0.000
Pd -2.408 -1.308 1.106
Pd -7.225 -3.923 3.317

2.
6
Lattice="-2.123 3.088 7.184 2.123 -3.088 7.184 2.123 3.088 -7.184" Properties=species:S:1:pos:R:3 comment="UTe2 (meta-GGA r2SCAN, relaxed)" spacegroup="No. 71" energy_ev_per_atom=-44.671 volume_a3_per_atom=31.4 pbc="T T T"
Te 2.123 1.534 0.000
Te 0.000 3.088 2.946
Te 0.000 1.554 7.184
Te 2.123 0.000 4.238
U 0.000 0.000 1.963
U 0.000 0.000 12.405

3.
3
Lattice="0.000 2.337 6.881 1.616 0.000 6.881 1.616 2.337 0.000" Properties=species:S:1:pos:R:3 comment="TaNbW (meta-GGA r2SCAN, relaxed)" spacegroup="No. 42" energy_ev_per_atom=-41.578 volume_a3_per_atom=17.3 pbc="T T T"
W 1.616 2.337 4.574
Ta 1.616 2.337 9.235
Nb 1.616 2.337 13.714

4.
70
Lattice="7.928 -8.633 0.055 7.928 8.633 0.055 -1.552 0.000 11.618" Properties=species:S:1:pos:R:3 comment="Nd9Ga5S21 (meta-GGA r2SCAN, relaxed)" spacegroup="No. 146" energy_ev_per_atom=-15.843 volume_a3_per_atom=22.7 pbc="T T T"
Nd 6.531 1.292 9.223
Nd 1.584 1.308 5.177
Nd 8.000 -1.376 2.721
Nd 6.979 -6.666 8.771
Nd 8.878 -5.408 1.392
Nd 5.155 1.944 0.822
Nd 1.579 -1.238 10.294
Nd 3.718 -3.252 2.574
Nd 12.882 1.291 1.572
Nd 8.999 -1.963 10.776
Nd 12.576 -1.294 6.413
Nd 8.666 -3.237 6.618
Nd 4.422 -1.882 7.086
Nd 10.420 3.257 9.043
Nd 5.561 5.375 10.500
Nd 7.518 6.646 3.051
Nd 5.934 3.259 5.242
Nd 10.085 1.945 4.888
Ga 9.509 2.791 1.404
Ga 12.165 0.000 9.974
Ga 2.086 0.000 1.710
Ga 6.341 -5.676 5.269
Ga 9.253 0.000 7.586
Ga 5.020 0.000 4.116
Ga 5.550 -2.869 11.099
Ga 3.276 2.885 9.008
Ga 11.942 -2.951 3.303
Ga 8.791 5.821 7.146
S 10.589 4.610 6.463
S 0.582 1.283 11.161
S 6.056 -4.454 7.161
S 6.590 -3.697 1.526
S 3.809 0.784 9.752
S 8.091 2.113 6.930
S 4.383 0.925 6.058
S 10.214 -2.918 1.869
S 6.054 7.758 8.914
S 5.225 3.698 8.174
S 13.220 -1.233 0.175
S 11.434 3.558 0.471
S 3.828 -2.897 9.658
S 6.426 -0.819 11.540
S 9.144 6.514 0.718
S 7.149 -1.255 8.079
S 2.932 4.184 10.841
S 8.254 -4.831 4.331
S 6.228 2.837 11.591
S 1.709 -0.748 7.479
S 4.700 -6.525 10.566
S 7.735 -7.797 2.436
S 9.256 0.809 9.940
S 7.294 -4.181 10.396
S 10.117 0.756 2.208
S 6.840 -7.742 6.075
S 12.837 -0.867 3.635
S 5.688 -2.113 4.467
S 11.488 -3.791 5.365
S 12.555 2.925 3.874
S 9.115 4.047 3.280
S 6.703 1.188 3.228
S 7.032 5.815 5.750
S 5.769 4.444 2.528
S 3.093 1.987 2.788
S 9.439 -5.762 7.674
S 4.370 -0.824 1.231
S 9.469 -0.858 5.249
S 11.429 1.170 7.289
S 8.246 5.048 9.235
S 2.187 -1.163 3.893
S 10.541 -1.979 8.372

5.
4
Lattice="-1.045 -0.028 -3.712 -4.690 -3.107 1.344 -3.000 4.879 0.807" Properties=species:S:1:pos:R:3 comment="EuPb (meta-GGA r2SCAN, relaxed)" energy_ev_per_atom=-48.062 volume_a3_per_atom=32.3 pbc="T T T"
Pb -2.868 -1.567 -1.184
Pb -2.023 2.425 -1.452
Eu -3.845 0.886 1.076
Eu 0.000 0.000 0.000

6.
32
Lattice="-4.798 -0.802 1.659 1.507 -6.974 0.988 2.861 1.922 9.206" Properties=species:S:1:pos:R:3 comment="CeRh2O5 (meta-GGA r2SCAN, relaxed)" spacegroup="No. 62" energy_ev_per_atom=-15.605 volume_a3_per_atom=11.4 pbc="T T T"
Ce -0.577 -4.332 8.956
Ce -0.863 -0.767 8.301
Ce 0.434 -5.087 3.552
Ce 0.147 -1.522 2.896
O -0.190 -5.414 5.855
O -0.135 -2.971 4.629
O 2.110 -6.209 4.608
O -2.753 -4.595 4.439
O -2.704 -2.221 5.970
O -3.817 -2.969 2.389
O -1.303 -6.161 2.274
O -1.892 -0.838 3.387
O 0.874 0.307 9.578
O 1.463 -5.016 8.465
O -0.295 -2.884 7.223
O -0.240 -0.440 5.997
O -1.807 0.846 9.600
O 3.388 -2.886 9.463
O 0.438 -2.392 9.579
O -0.867 -3.463 2.273
O 1.377 -6.700 2.252
O -2.539 0.354 7.244
O 2.323 -1.259 7.413
O 2.275 -3.633 5.882
Rh 1.781 -5.523 6.467
Rh 2.124 -1.301 9.489
Rh 2.874 -4.789 9.984
Rh -2.553 -4.553 2.363
Rh -3.303 -1.065 1.868
Rh 1.030 -2.036 5.972
Rh -1.460 -3.819 5.881
Rh -2.210 -0.331 5.386

7.
6
Lattice="-5.174 4.912 2.370 -7.289 1.198 -1.398 5.534 -4.817 1.642" Properties=species:S:1:pos:R:3 comment="PuSi2 (meta-GGA r2SCAN, relaxed)" spacegroup="No. 141" energy_ev_per_atom=-35.210 volume_a3_per_atom=18.8 pbc="T T T"
Si -3.969 2.082 2.329
Si -1.033 0.506 0.081
Si -11.431 5.605 0.891
Si -1.903 1.069 2.168
Pu -3.993 -0.281 0.365
Pu -6.232 3.055 0.486

8.
8
Lattice="0.000 4.967 0.000 0.000 0.000 5.095 6.125 0.000 0.000" Properties=species:S:1:pos:R:3 comment="ErAu3 (meta-GGA r2SCAN, relaxed)" spacegroup="No. 59" energy_ev_per_atom=-47.211 volume_a3_per_atom=19.4 pbc="T T T"
Au 4.593 1.242 3.389
Au 1.531 3.725 1.706
Au 3.026 3.725 4.276
Au 6.088 1.242 0.820
Au 0.037 3.725 4.276
Au 3.099 1.242 0.820
Er 4.593 3.725 1.761
Er 1.531 1.242 3.334